NaTi3: optimized geometry, PBE-GGA.

Cell: 6.131 6.131 4.788 Å, 90.00 90.00 120.00°
Sites, in units of the cell vectors:
Na  0.667  0.333  0.250
Na  0.333  0.667  0.750
Ti  0.154  0.846  0.250
Ti  0.691  0.846  0.250
Ti  0.846  0.691  0.750
Ti  0.846  0.154  0.750
Ti  0.309  0.154  0.750
Ti  0.154  0.309  0.250

* crystal system: hexagonal
* space-group type: P6_3/mmc (194)
* formation energy from the elements: 2.67 eV/f.u.
* total moment: 0.25 μB per atom